# 1
Compound: Sb2P3Se9
Source: Materials Project
Functional: PBE-GGA
Structure: optimized geometry

Unit cell a=7.7120 b=9.5324 c=23.8751 alpha=66.67 beta=90.00 gamma=90.00
Positions (direct):
Se: 0.1390 0.5759 0.8839
Se: 0.0354 0.4798 0.2983
Se: 0.1461 0.8700 0.5655
P: 0.0469 0.4231 0.0479
Se: 0.4646 0.4798 0.7983
Sb: 0.2829 0.6088 0.6456
Se: 0.3064 0.5216 0.0542
Se: 0.1491 0.1645 0.8903
Se: 0.2473 0.2269 0.7338
P: 0.6535 0.7488 0.1849
Se: 0.7334 0.1484 0.2852
Sb: 0.7171 0.3912 0.3544
Se: 0.2666 0.8516 0.7148
Se: 0.0620 0.8516 0.3791
Sb: 0.7829 0.3912 0.8544
Se: 0.1936 0.5216 0.5542
Se: 0.7666 0.1484 0.7852
Se: 0.4243 0.1933 0.5442
Sb: 0.9059 0.0590 0.1534
P: 0.9531 0.5769 0.9521
Se: 0.0757 0.1933 0.0442
P: 0.3465 0.2512 0.8151
Se: 0.9646 0.5202 0.7017
Se: 0.5757 0.8067 0.4558
Sb: 0.5941 0.0590 0.6534
P: 0.8465 0.7488 0.6849
Sb: 0.2171 0.6088 0.1456
Se: 0.6390 0.4241 0.6161
Se: 0.3509 0.1645 0.3903
Sb: 0.0941 0.9410 0.8466
Se: 0.6491 0.8355 0.6097
Se: 0.3539 0.8700 0.0655
Sb: 0.4059 0.9410 0.3466
Se: 0.5354 0.5202 0.2017
Se: 0.3610 0.5759 0.3839
P: 0.1535 0.2512 0.3151
P: 0.9373 0.0784 0.3545
P: 0.0627 0.9216 0.6455
Se: 0.5620 0.1484 0.1209
Se: 0.8509 0.8355 0.1097
Se: 0.6936 0.4784 0.9458
Se: 0.9380 0.1484 0.6209
P: 0.5627 0.0784 0.8545
P: 0.5469 0.5769 0.4521
Se: 0.8610 0.4241 0.1161
Se: 0.7473 0.7731 0.7662
P: 0.4373 0.9216 0.1455
Se: 0.7527 0.7731 0.2662
Se: 0.8539 0.1300 0.4345
P: 0.4531 0.4231 0.5479
Se: 0.9243 0.8067 0.9558
Se: 0.4380 0.8516 0.8791
Se: 0.2527 0.2269 0.2338
Se: 0.2334 0.8516 0.2148
Se: 0.6461 0.1300 0.9345
Se: 0.8064 0.4784 0.4458

SG: No. 14
Volume (Å³/cell): 1612



# 2
Compound: Ti2SbP
Source: Materials Project
Functional: PBE-GGA
Structure: optimized geometry

Unit cell a=3.6380 b=3.6380 c=12.6662 alpha=90.00 beta=90.00 gamma=120.00
Positions (direct):
Ti: 0.3333 0.6667 0.9000
P: 0.0000 0.0000 0.5000
Sb: 0.3333 0.6667 0.2500
P: 0.0000 0.0000 0.0000
Sb: 0.6667 0.3333 0.7500
Ti: 0.3333 0.6667 0.6000
Ti: 0.6667 0.3333 0.4000
Ti: 0.6667 0.3333 0.1000

SG: No. 194
Volume (Å³/cell): 145



# 3
Compound: Sc3P2
Source: Materials Project
Functional: PBE-GGA
Structure: optimized geometry

Unit cell a=3.7239 b=10.0685 c=10.1633 alpha=90.00 beta=90.00 gamma=90.00
Positions (direct):
P: 0.2500 0.6809 0.9891
Sc: 0.2500 0.0630 0.3750
P: 0.2500 0.4972 0.3139
P: 0.7500 0.3191 0.0109
Sc: 0.7500 0.5630 0.1250
P: 0.7500 0.1809 0.5109
Sc: 0.7500 0.9370 0.6250
Sc: 0.2500 0.4370 0.8750
Sc: 0.2500 0.8011 0.2229
Sc: 0.7500 0.8677 0.9527
P: 0.7500 0.9972 0.1861
Sc: 0.2500 0.3677 0.5473
Sc: 0.2500 0.6989 0.7229
P: 0.7500 0.5028 0.6861
P: 0.2500 0.0028 0.8139
Sc: 0.2500 0.1323 0.0473
Sc: 0.7500 0.1989 0.7771
P: 0.2500 0.8191 0.4891
Sc: 0.7500 0.6323 0.4527
Sc: 0.7500 0.3011 0.2771

Energy relative to the lowest polymorph listed for this composition (eV/atom): 0.021
SG: No. 62
Volume (Å³/cell): 381



# 4
Compound: Sc3P2
Source: Materials Project
Functional: PBE-GGA
Structure: optimized geometry

Unit cell a=3.7836 b=6.9264 c=14.4353 alpha=90.00 beta=90.00 gamma=90.00
Positions (direct):
Sc: 0.7500 0.3363 0.7224
Sc: 0.2500 0.8658 0.0678
P: 0.7500 0.8719 0.2047
P: 0.7500 0.7410 0.9582
Sc: 0.7500 0.4923 0.1042
Sc: 0.7500 0.1342 0.9322
Sc: 0.2500 0.5077 0.8958
P: 0.7500 0.3719 0.2953
P: 0.2500 0.7590 0.4582
Sc: 0.7500 0.9923 0.3958
Sc: 0.7500 0.6342 0.5678
Sc: 0.2500 0.1637 0.2224
P: 0.7500 0.2410 0.5418
P: 0.2500 0.2590 0.0418
Sc: 0.2500 0.6637 0.2776
P: 0.2500 0.6281 0.7047
Sc: 0.7500 0.8363 0.7776
P: 0.2500 0.1281 0.7953
Sc: 0.2500 0.0077 0.6042
Sc: 0.2500 0.3658 0.4322

Energy relative to the lowest polymorph listed for this composition (eV/atom): 0.000
SG: No. 62
Volume (Å³/cell): 378



# 5
Compound: Sc7P3
Source: Materials Project
Functional: PBE-GGA
Structure: optimized geometry

Unit cell a=8.9798 b=8.9798 c=5.7141 alpha=90.00 beta=90.00 gamma=120.00
Positions (direct):
Sc: 0.8774 0.7548 0.7408
Sc: 0.8774 0.1226 0.7408
Sc: 0.1226 0.2452 0.2408
P: 0.3830 0.1915 0.1756
Sc: 0.7548 0.8774 0.2408
Sc: 0.9257 0.4629 0.4713
P: 0.1915 0.8085 0.6756
Sc: 0.5371 0.4629 0.4713
P: 0.1915 0.3830 0.6756
Sc: 0.6667 0.3333 0.9157
Sc: 0.0743 0.5371 0.9713
P: 0.8085 0.6170 0.1756
Sc: 0.5371 0.0743 0.4713
Sc: 0.3333 0.6667 0.4157
P: 0.6170 0.8085 0.6756
Sc: 0.2452 0.1226 0.7408
Sc: 0.4629 0.9257 0.9713
P: 0.8085 0.1915 0.1756
Sc: 0.4629 0.5371 0.9713
Sc: 0.1226 0.8774 0.2408

SG: No. 186
Volume (Å³/cell): 399



# 6
Compound: P4Se3
Source: Materials Project
Functional: PBE-GGA
Structure: optimized geometry

Unit cell a=10.6070 b=11.8915 c=14.9503 alpha=90.00 beta=90.00 gamma=90.00
Positions (direct):
P: 0.7500 0.2890 0.8270
Se: 0.4137 0.6521 0.5276
P: 0.7500 0.4689 0.4933
Se: 0.0866 0.9499 0.3654
P: 0.2500 0.7110 0.1730
Se: 0.2500 0.9448 0.8575
P: 0.7500 0.5280 0.9625
P: 0.2500 0.0968 0.7667
Se: 0.2500 0.1632 0.4733
Se: 0.4134 0.4499 0.1346
P: 0.7500 0.7890 0.6730
P: 0.1441 0.7312 0.6589
Se: 0.0863 0.6521 0.5276
P: 0.6441 0.7688 0.1589
P: 0.2500 0.0311 0.9933
P: 0.2500 0.9720 0.4625
Se: 0.7500 0.3368 0.9733
P: 0.3556 0.0724 0.2572
P: 0.6441 0.2688 0.3411
P: 0.8556 0.4276 0.7572
Se: 0.2500 0.6632 0.0267
Se: 0.7500 0.0552 0.1425
P: 0.1444 0.5724 0.2428
Se: 0.4137 0.1521 0.9724
P: 0.1444 0.0724 0.2572
P: 0.6444 0.4276 0.7572
Se: 0.5863 0.3479 0.4724
P: 0.7500 0.9689 0.0067
P: 0.8559 0.2688 0.3411
Se: 0.9134 0.5501 0.8654
Se: 0.0863 0.1521 0.9724
P: 0.1441 0.2312 0.8411
P: 0.2500 0.4720 0.0375
Se: 0.9134 0.0501 0.6346
Se: 0.5863 0.8479 0.0276
P: 0.2500 0.5311 0.5067
Se: 0.7500 0.5552 0.3575
P: 0.8559 0.7688 0.1589
P: 0.6444 0.9276 0.7428
Se: 0.9137 0.3479 0.4724
Se: 0.2500 0.4448 0.6425
Se: 0.5866 0.5501 0.8654
P: 0.7500 0.9032 0.2333
Se: 0.4134 0.9499 0.3654
P: 0.3559 0.2312 0.8411
P: 0.3556 0.5724 0.2428
P: 0.7500 0.4032 0.2667
P: 0.8556 0.9276 0.7428
Se: 0.0866 0.4499 0.1346
Se: 0.5866 0.0501 0.6346
P: 0.7500 0.0280 0.5375
Se: 0.9137 0.8479 0.0276
P: 0.3559 0.7312 0.6589
P: 0.2500 0.5968 0.7333
P: 0.2500 0.2110 0.3270
Se: 0.7500 0.8368 0.5267

Magnetic moment (μB per atom): 0.000
Energy relative to the lowest polymorph listed for this composition (eV/atom): 0.002
SG: No. 62
Volume (Å³/cell): 1886



# 7
Compound: P4Se5
Source: Materials Project
Functional: PBE-GGA
Structure: optimized geometry

Unit cell a=6.9396 b=11.8135 c=13.5579 alpha=90.00 beta=90.00 gamma=90.00
Positions (direct):
Se: 0.8143 0.2382 0.0159
Se: 0.7865 0.7060 0.4293
P: 0.5101 0.9716 0.0619
P: 0.4899 0.4716 0.9381
Se: 0.8654 0.8717 0.6861
P: 0.5997 0.1503 0.0989
P: 0.9003 0.1503 0.5989
Se: 0.3654 0.3717 0.8139
Se: 0.7808 0.5005 0.7213
P: 0.0400 0.4885 0.1852
P: 0.9899 0.9716 0.5619
P: 0.5400 0.9885 0.3148
Se: 0.6710 0.1570 0.2642
Se: 0.2865 0.2060 0.0707
P: 0.7077 0.5201 0.3897
P: 0.4600 0.4885 0.6852
Se: 0.6346 0.8717 0.1861
Se: 0.2135 0.2060 0.5707
Se: 0.1710 0.6570 0.2358
P: 0.4003 0.6503 0.9011
Se: 0.7135 0.7060 0.9293
P: 0.2077 0.0201 0.1103
P: 0.7923 0.5201 0.8897
Se: 0.1857 0.7382 0.9841
P: 0.2923 0.0201 0.6103
P: 0.0101 0.4716 0.4381
P: 0.9600 0.9885 0.8148
Se: 0.3143 0.7382 0.4841
Se: 0.3290 0.6570 0.7358
P: 0.0997 0.6503 0.4011
Se: 0.8290 0.1570 0.7642
Se: 0.2808 0.0005 0.7787
Se: 0.7192 0.5005 0.2213
Se: 0.6857 0.2382 0.5159
Se: 0.1346 0.3717 0.3139
Se: 0.2192 0.0005 0.2787

Piezoelectric modulus e_max (C/m2): 0.20
SG: No. 33
Volume (Å³/cell): 1111



# 8
Compound: P4Se3
Source: Materials Project
Functional: PBE-GGA
Structure: optimized geometry

Unit cell a=10.4485 b=12.7289 c=28.4465 alpha=90.00 beta=90.00 gamma=90.00
Positions (direct):
P: 0.7500 0.0216 0.4823
P: 0.3573 0.9972 0.2554
Se: 0.7500 0.3940 0.8649
P: 0.2500 0.9784 0.5177
Se: 0.2500 0.4558 0.4295
P: 0.8575 0.0264 0.1453
Se: 0.2500 0.6572 0.9779
Se: 0.4159 0.6421 0.6323
Se: 0.4159 0.1421 0.8677
P: 0.6424 0.9596 0.3700
P: 0.1424 0.0404 0.6300
P: 0.7500 0.5253 0.2863
P: 0.6427 0.0028 0.7446
P: 0.7500 0.5427 0.8214
P: 0.7500 0.4530 0.5016
P: 0.1427 0.9972 0.2554
P: 0.7500 0.2724 0.3328
P: 0.8576 0.4596 0.1300
P: 0.3575 0.2208 0.0874
P: 0.2500 0.5470 0.4984
P: 0.3573 0.4972 0.2446
Se: 0.5841 0.8579 0.1323
Se: 0.4161 0.4434 0.9331
P: 0.2500 0.2276 0.8328
Se: 0.4161 0.9434 0.5669
P: 0.8573 0.0028 0.7446
P: 0.7500 0.9099 0.8773
P: 0.1425 0.2208 0.0874
P: 0.7500 0.7724 0.1672
P: 0.2500 0.7287 0.1933
Se: 0.4160 0.1581 0.0162
Se: 0.7500 0.8562 0.2379
P: 0.7500 0.2713 0.8067
P: 0.3575 0.4736 0.6453
Se: 0.5839 0.5566 0.0669
P: 0.7500 0.0427 0.6786
Se: 0.0841 0.1421 0.8677
Se: 0.2500 0.1572 0.5221
Se: 0.7500 0.3562 0.2621
Se: 0.2500 0.6060 0.1351
Se: 0.2500 0.9558 0.0705
P: 0.7500 0.7713 0.6933
Se: 0.4160 0.6581 0.4838
P: 0.1425 0.9736 0.8547
Se: 0.9161 0.0566 0.4331
P: 0.1427 0.4972 0.2446
P: 0.3575 0.9736 0.8547
P: 0.1424 0.5404 0.8700
P: 0.7500 0.0253 0.2137
P: 0.7500 0.8215 0.3989
Se: 0.4161 0.1672 0.2630
P: 0.6427 0.5028 0.7554
Se: 0.9159 0.8579 0.1323
P: 0.8576 0.9596 0.3700
Se: 0.2500 0.6438 0.7379
P: 0.2500 0.7276 0.6672
Se: 0.9161 0.5566 0.0669
Se: 0.2500 0.1438 0.7621
Se: 0.7500 0.3428 0.0221
P: 0.6425 0.0264 0.1453
P: 0.3576 0.0404 0.6300
P: 0.2500 0.1785 0.6011
P: 0.1425 0.7208 0.4126
P: 0.2500 0.4573 0.1786
Se: 0.0840 0.6581 0.4838
Se: 0.0839 0.4434 0.9331
Se: 0.9161 0.8328 0.7370
P: 0.2500 0.0901 0.1227
Se: 0.5839 0.8328 0.7370
Se: 0.5841 0.3579 0.3677
Se: 0.0839 0.1672 0.2630
Se: 0.0841 0.6421 0.6323
P: 0.2500 0.4747 0.7137
P: 0.6425 0.5264 0.3547
Se: 0.5839 0.3328 0.7630
Se: 0.7500 0.8940 0.6351
Se: 0.4161 0.6672 0.2370
Se: 0.0839 0.6672 0.2370
P: 0.8573 0.5028 0.7554
Se: 0.5840 0.8419 0.9838
P: 0.3575 0.7208 0.4126
Se: 0.7500 0.8428 0.4779
P: 0.2500 0.5901 0.3773
Se: 0.9159 0.3579 0.3677
Se: 0.7500 0.0442 0.9295
P: 0.7500 0.9530 0.9984
P: 0.6425 0.7792 0.9126
P: 0.7500 0.5216 0.0177
Se: 0.5840 0.3419 0.5162
P: 0.7500 0.4099 0.6227
Se: 0.2500 0.1060 0.3649
P: 0.8575 0.5264 0.3547
Se: 0.9161 0.3328 0.7630
P: 0.2500 0.9573 0.3214
Se: 0.0839 0.9434 0.5669
P: 0.2500 0.2287 0.3067
Se: 0.5839 0.0566 0.4331
Se: 0.9160 0.3419 0.5162
P: 0.2500 0.4784 0.9823
P: 0.6424 0.4596 0.1300
P: 0.2500 0.0470 0.0016
P: 0.8575 0.7792 0.9126
Se: 0.7500 0.5442 0.5705
Se: 0.9160 0.8419 0.9838
Se: 0.0840 0.1581 0.0162
P: 0.6425 0.2792 0.5874
P: 0.2500 0.9747 0.7863
P: 0.8575 0.2792 0.5874
P: 0.1425 0.4736 0.6453
P: 0.7500 0.3215 0.1011
P: 0.2500 0.6785 0.8989
P: 0.3576 0.5404 0.8700

Magnetic moment (μB per atom): 0.000
Energy relative to the lowest polymorph listed for this composition (eV/atom): 0.000
SG: No. 62
Volume (Å³/cell): 3783



no.,total energy (Ry per atom)
1,-0.3036
2,-0.5322
3,-0.5310
4,-0.5325
5,-0.5153
6,-0.3412
7,-0.3233
8,-0.3414